First-principles (r2SCAN) data for an optimized crystal structure of PrP2, as listed in the Materials Project database.

Computed properties:
Theoretical density = 5.068 Mg/m³
E_form = -1.175 eV/atom
Total magnetic moment = 0.00 μB per formula unit

Cell lengths 4.0722, 6.6257, 10.2177 Å; angles 90.00, 105.36, 90.00 degrees
With the nearest neighbours (Å) after each atom.
Space group P2_1/c (No. 14)
Asymmetric unit:
Pr (0.0801, 0.1844, 0.3579)  9 P 2.94-3.19
P (0.3079, 0.6204, 0.4544)  2 P 2.21-2.26
P (0.4671, 0.1634, 0.6616)  1 P 2.21

=====

First-principles (r2SCAN) data for an optimized crystal structure of PrP2Rh2, as listed in the Materials Project database.

Computed properties:
Theoretical density = 8.146 Mg/m³
E_form = -1.193 eV/atom
Total magnetic moment = 0.00 μB per formula unit

Cell lengths 4.1716, 4.1716, 9.5747 Å; angles 90.00, 90.00, 90.00 degrees
With the nearest neighbours (Å) after each atom.
Space group P4/nmm (No. 129, origin choice 2)
Asymmetric unit:
Pr (0.2500, 0.2500, 0.2425)  8 P 3.12-3.16, 9 Rh 3.21-3.38
P (0.2500, 0.2500, 0.6380)  5 Rh 2.41-2.47
P (0.2500, 0.7500, 0.0000)  4 Rh 2.34
Rh (0.2500, 0.2500, 0.8895)  5 P 2.34-2.41
Rh (0.2500, 0.7500, 0.5000)  4 P 2.47

=====

> Look up the total magnetic moment of the second one.

0.00 μB per formula unit

=====

> What is the theoretical density in the first record?

5.068 Mg/m³

=====

> Look up the theoretical density of the second one.

8.146 Mg/m³

=====

> Which value of total magnetic moment does entry 1 give?

0.00 μB per formula unit